The following is a PBE+U calculation of a relaxed structure of Ba6Pr2Fe4O15, from the Materials Project.

For the total energy, the calculation gives -6.74 eV per atom. As for the space group: Cc.

a = 11.9729 Å, b = 11.9729 Å, c = 7.1755 Å
α = 89.82°, β = 89.82°, γ = 119.64°
Sites, in units of the cell vectors:
1 Ba 0.8233 0.1724 0.3346
2 Ba 0.8261 0.6513 0.3356
3 Ba 0.3475 0.1718 0.3362
4 Ba 0.1724 0.8233 0.8346
5 Ba 0.1718 0.3475 0.8362
6 Ba 0.6513 0.8261 0.8356
7 Ba 0.0010 0.0000 0.4970
8 Ba 0.0000 0.0010 0.9970
9 Ba 0.5215 0.0455 0.6707
10 Ba 0.0455 0.5215 0.1707
11 Ba 0.6681 0.3347 0.0215
12 Ba 0.3347 0.6681 0.5215
13 Pr 0.5206 0.4786 0.6635
14 Pr 0.9555 0.4778 0.6685
15 Pr 0.4786 0.5206 0.1635
16 Pr 0.4778 0.9555 0.1685
17 Fe 0.8186 0.1753 0.8339
18 Fe 0.8170 0.6445 0.8297
19 Fe 0.3582 0.1814 0.8426
20 Fe 0.1753 0.8186 0.3339
21 Fe 0.1814 0.3582 0.3426
22 Fe 0.6445 0.8170 0.3297
23 Fe 0.6629 0.3332 0.4745
24 Fe 0.3332 0.6629 0.9745
25 O 0.0901 0.8976 0.2276
26 O 0.0982 0.1956 0.2333
27 O 0.8095 0.8983 0.2296
28 O 0.8976 0.0901 0.7276
29 O 0.8983 0.8095 0.7296
30 O 0.1956 0.0982 0.7333
31 O 0.7587 0.2592 0.6589
32 O 0.7461 0.5033 0.6549
33 O 0.4968 0.2608 0.6602
34 O 0.2592 0.7587 0.1589
35 O 0.2608 0.4968 0.1602
36 O 0.5033 0.7461 0.1549
37 O 0.0648 0.6759 0.4903
38 O 0.3342 0.3969 0.4735
39 O 0.6058 0.9325 0.4509
40 O 0.0690 0.3911 0.4920
41 O 0.3265 0.9357 0.4557
42 O 0.6031 0.6645 0.4674
43 O 0.9357 0.3265 0.9557
44 O 0.6645 0.6031 0.9674
45 O 0.3911 0.0690 0.9920
46 O 0.9325 0.6058 0.9509
47 O 0.6759 0.0648 0.9903
48 O 0.3969 0.3342 0.9735
49 O 0.5815 0.4182 0.3306
50 O 0.5844 0.1740 0.3214
51 O 0.8250 0.4159 0.3405
52 O 0.4182 0.5815 0.8306
53 O 0.4159 0.8250 0.8405
54 O 0.1740 0.5844 0.8214



The following is a PBE+U calculation of a relaxed structure of BaPrFeSnO6, from the Materials Project.

For the total energy, the calculation gives -6.82 eV per atom. As for the space group: F-43m.

a = 5.7578 Å, b = 5.7578 Å, c = 5.7578 Å
α = 60.00°, β = 60.00°, γ = 60.00°
Sites, in units of the cell vectors:
1 Ba 0.2500 0.2500 0.2500
2 Pr 0.7500 0.7500 0.7500
3 Fe 0.0000 0.0000 0.0000
4 Sn 0.5000 0.5000 0.5000
5 O 0.7528 0.2472 0.2472
6 O 0.2472 0.7528 0.7528
7 O 0.7528 0.2472 0.7528
8 O 0.2472 0.7528 0.2472
9 O 0.7528 0.7528 0.2472
10 O 0.2472 0.2472 0.7528



The following is a PBE+U calculation of a relaxed structure of BaFe2S2O, from the Materials Project.

For the total energy, the calculation gives -5.76 eV per atom. Its energy above the most stable polymorph in this dataset is 41 meV per atom. As for the space group: P2_1.

a = 4.1183 Å, b = 6.6795 Å, c = 9.9701 Å
α = 89.85°, β = 90.00°, γ = 90.00°
Sites, in units of the cell vectors:
1 Ba 0.5047 0.0241 0.4988
2 Ba 0.0048 0.9759 0.0012
3 Fe 0.4917 0.3657 0.8279
4 Fe 0.4881 0.3701 0.1685
5 Fe 0.9879 0.6299 0.3315
6 Fe 0.9916 0.6343 0.6722
7 S 0.5041 0.7325 0.7950
8 S 0.4998 0.7333 0.2083
9 S 0.0000 0.2668 0.2917
10 S 0.0042 0.2675 0.7050
11 O 0.5117 0.2281 0.9994
12 O 0.0114 0.7719 0.5006



The following is a PBE+U calculation of a relaxed structure of BaFe2S2O, from the Materials Project.

For the total energy, the calculation gives -5.80 eV per atom. Its energy above the most stable polymorph in this dataset is 0 meV per atom. As for the space group: Pmmn.

a = 4.1125 Å, b = 6.6894 Å, c = 9.8441 Å
α = 90.00°, β = 90.00°, γ = 90.00°
Sites, in units of the cell vectors:
1 Ba 0.5000 0.0261 0.5000
2 Ba 0.0000 0.9739 0.0000
3 Fe 0.5000 0.3775 0.8345
4 Fe 0.9999 0.6225 0.3345
5 Fe 0.5000 0.3775 0.1656
6 Fe 0.0001 0.6225 0.6656
7 S 0.5000 0.7320 0.2107
8 S 0.5000 0.7320 0.7893
9 S 0.0000 0.2680 0.7107
10 S 0.0000 0.2680 0.2893
11 O 0.5000 0.2235 0.0000
12 O 0.0000 0.7765 0.5000